No. 1
LiPm2Rh: optimized geometry, r²SCAN.

```
LiPm2Rh
1.0
0.9640 -4.6097 -1.8301
-2.5485 -1.7081 -4.0143
2.3416 -0.5135 -4.4476
Li Pm Rh
1 2 1
Cartesian
0.1893 -1.7078 -2.5730
0.0000 0.0000 0.0000
0.3786 -3.4156 -5.1460
0.5678 -5.1235 -7.7190
```

Values from the calculation:
Mass density   7.280 Mg/m³
Calculated formation energy   -400.4 meV per atom
Space group   No. 225
Total magnetic moment   0.00 μB/f.u.


No. 2
Lu4C7: optimized geometry, r²SCAN.

```
Lu4C7
1.0
-1.4878 2.7849 -1.6947
-4.7716 -3.0775 2.6299
1.3122 7.4673 11.1188
Lu C
8 14
Cartesian
-0.9401 8.0286 10.1216
-1.1080 3.6061 4.9672
-4.0072 -0.8539 1.9324
-3.8392 3.5686 7.0868
-2.1551 6.5063 6.6316
-0.6431 0.8596 2.1011
-2.7921 0.6684 5.4224
-4.3042 6.3150 9.9529
-1.7297 2.1949 6.8743
0.0000 0.0000 0.0000
-0.1287 7.1315 8.0329
-2.3375 2.1236 3.5126
-4.8185 0.0432 4.0211
-2.6097 5.0511 8.5414
-2.8402 1.8070 2.3390
0.1411 6.1227 7.2331
-5.1050 2.0748 5.6665
-1.8437 5.7481 10.9589
0.1578 5.0998 6.3875
-3.1035 1.4266 1.0951
-5.0883 1.0520 4.8209
-2.1070 5.3677 9.7150
```

Values from the calculation:
Mass density   8.946 Mg/m³
Calculated formation energy   -508.0 meV per atom
Space group   No. 14
Total magnetic moment   0.00 μB/f.u.


No. 3
Zr2CoTc: optimized geometry, r²SCAN.

```
Zr2CoTc
1.0
0.0000 3.2451 3.2451
3.2451 0.0000 3.2451
3.2451 3.2451 0.0000
Zr Co Tc
2 1 1
Cartesian
0.0000 0.0000 0.0000
3.2451 3.2451 3.2451
1.6225 1.6225 1.6225
4.8676 4.8676 4.8676
```

Values from the calculation:
Mass density   8.246 Mg/m³
Calculated formation energy   -389.7 meV per atom
Space group   No. 225
Total magnetic moment   0.63 μB/f.u.


No. 4
ErRu3C: optimized geometry, r²SCAN.

```
ErRu3C
1.0
4.1210 0.0000 0.0000
0.0000 4.1210 0.0000
0.0000 0.0000 4.1210
Er Ru C
1 3 1
Cartesian
2.0605 2.0605 2.0605
2.0605 0.0000 0.0000
0.0000 2.0605 0.0000
0.0000 0.0000 2.0605
0.0000 0.0000 0.0000
```

Values from the calculation:
Mass density   11.448 Mg/m³
Calculated formation energy   -293.6 meV per atom
Space group   No. 221
Total magnetic moment   0.00 μB/f.u.


No. 5
Be2Nb: optimized geometry, r²SCAN.

```
Be2Nb
1.0
4.0103 0.0000 2.3154
1.3368 3.7810 2.3154
0.0000 0.0000 4.6307
Be Nb
4 2
Cartesian
2.6735 1.8905 4.6307
2.6735 1.8905 2.3154
0.6684 1.8905 3.4730
2.0052 0.0000 3.4730
4.6787 3.3083 8.1037
0.6684 0.4726 1.1577
```

Values from the calculation:
Mass density   5.247 Mg/m³
Calculated formation energy   -213.7 meV per atom
Space group   No. 227
Total magnetic moment   0.00 μB/f.u.


No. 6
Ho2ZnCu: optimized geometry, r²SCAN.

```
Ho2ZnCu
1.0
-1.4756 -4.6713 0.3846
-0.1938 -2.1602 4.4093
-4.3490 -1.0432 2.0358
Ho Zn Cu
2 1 1
Cartesian
-1.5046 -1.9687 1.7074
-4.5138 -5.9060 5.1223
0.0000 0.0000 0.0000
-3.0092 -3.9374 3.4149
```

Values from the calculation:
Mass density   9.081 Mg/m³
Calculated formation energy   -324.1 meV per atom
Space group   No. 225
Total magnetic moment   0.00 μB/f.u.